Ir3C8O8 | PBE | optimized geometry

```
data_Ir3C8O8
_space_group_name_H-M_alt 'P 1'
_space_group_IT_number 1
_cell_length_a 9.835
_cell_length_b 9.872
_cell_length_c 15.911
_cell_angle_alpha 97.88
_cell_angle_beta 100.44
_cell_angle_gamma 119.19
loop_
_space_group_symop_operation_xyz
'x,y,z'
loop_
_atom_site_label
_atom_site_fract_x
_atom_site_fract_y
_atom_site_fract_z
_atom_site_occupancy
Ir1 0.585 0.833 0.749 1
Ir2 0.483 0.462 0.214 1
Ir3 0.748 0.269 0.286 1
Ir4 0.582 0.275 0.122 1
Ir5 0.415 0.165 0.250 1
Ir6 0.652 0.457 0.378 1
Ir7 0.345 0.541 0.622 1
Ir8 0.252 0.732 0.715 1
Ir9 0.421 0.726 0.878 1
Ir10 0.818 0.567 0.251 1
Ir11 0.516 0.535 0.785 1
Ir12 0.181 0.433 0.750 1
C1 0.500 0.339 0.740 1
C2 0.714 0.612 0.873 1
C3 0.631 0.366 0.476 1
C4 0.003 0.396 0.795 1
C5 0.466 0.929 0.823 1
C6 0.099 0.758 0.761 1
C7 0.369 0.633 0.524 1
C8 0.606 0.640 0.677 1
C9 0.762 0.159 0.373 1
C10 0.900 0.510 0.372 1
C11 0.202 0.036 0.170 1
C12 0.499 0.658 0.259 1
C13 0.394 0.358 0.323 1
C14 0.238 0.841 0.628 1
C15 0.902 0.243 0.240 1
C16 0.897 0.788 0.294 1
C17 0.367 0.032 0.329 1
C18 0.730 0.668 0.447 1
C19 0.634 0.964 0.669 1
C20 0.099 0.489 0.628 1
C21 0.724 0.281 0.054 1
C22 0.285 0.385 0.126 1
C23 0.797 0.962 0.830 1
C24 0.536 0.071 0.176 1
C25 0.272 0.333 0.553 1
C26 0.996 0.605 0.207 1
C27 0.611 0.844 0.977 1
C28 0.100 0.211 0.707 1
C29 0.392 0.156 0.024 1
C30 0.358 0.472 0.871 1
C31 0.281 0.719 0.947 1
C32 0.639 0.527 0.128 1
O1 0.707 0.642 0.644 1
O2 0.942 0.924 0.317 1
O3 0.053 0.076 0.682 1
O4 0.970 0.421 0.573 1
O5 0.814 0.291 0.013 1
O6 0.610 0.303 0.533 1
O7 0.291 0.354 0.355 1
O8 0.226 0.906 0.574 1
O9 0.504 0.063 0.855 1
O10 0.926 0.042 0.879 1
O11 0.106 0.627 0.180 1
O12 0.495 0.223 0.709 1
O13 0.394 0.694 0.467 1
O14 0.167 0.340 0.071 1
O15 0.785 0.799 0.487 1
O16 0.662 0.044 0.620 1
O17 0.894 0.375 0.821 1
O18 0.774 0.095 0.427 1
O19 0.223 0.204 0.512 1
O20 0.501 0.938 0.143 1
O21 0.337 0.952 0.378 1
O22 0.342 0.399 0.926 1
O23 0.729 0.923 0.035 1
O24 0.272 0.077 0.967 1
O25 0.654 0.602 0.074 1
O26 0.028 0.578 0.427 1
O27 0.833 0.658 0.927 1
O28 0.191 0.706 0.988 1
O29 0.990 0.222 0.210 1
O30 0.073 0.956 0.121 1
O31 0.507 0.776 0.289 1
O32 0.010 0.778 0.791 1
```

Formation energy ... -915 meV per atom
Total energy after the MP2020 corrections ... -8.280 eV/atom
Uncorrected energy ... -607.260 eV per cell